1.
Material: LiYS2
Method: DFT, PBE
State: optimized geometry

Crystal system: tetragonal

a = 6.7715 Å, b = 6.7715 Å, c = 6.7715 Å
α = 132.55°, β = 132.55°, γ = 69.37°
Last column: nearest neighbours and their distance in Å.
Atoms (fractional coordinates):
1 Y 0.7500 0.2500 0.5000  6 S 2.73
2 Li 0.5000 0.5000 0.0000  6 S 2.73-2.83
3 S 0.7544 0.7544 0.0000  3 Li 2.73-2.83, 3 Y 2.73
4 S 0.5044 0.0044 0.5000  3 Li 2.73-2.83, 3 Y 2.73
5 S 0.9956 0.4956 0.5000  3 Li 2.73-2.83, 3 Y 2.73
6 S 0.2456 0.2456 0.0000  3 Y 2.73, 3 Li 2.73-2.83
7 Li 0.2500 0.7500 0.5000  6 S 2.73-2.83
8 Y 0.0000 0.0000 0.0000  6 S 2.73



2.
Material: CeMg12
Method: DFT, PBE
State: optimized geometry

Crystal system: tetragonal

a = 7.9033 Å, b = 7.9033 Å, c = 7.9033 Å
α = 97.81°, β = 97.81°, γ = 136.75°
Last column: nearest neighbours and their distance in Å.
Atoms (fractional coordinates):
1 Mg 0.5000 0.0000 0.0000  10 Mg 2.91-3.15
2 Mg 0.0000 0.0000 0.5000  10 Mg 2.91-3.15
3 Mg 0.0000 0.5000 0.0000  10 Mg 2.91-3.15
4 Mg 0.5000 0.2845 0.7845  10 Mg 3.00-3.34
5 Mg 0.5000 0.7155 0.2155  10 Mg 3.00-3.34
6 Mg 0.2845 0.5000 0.7845  10 Mg 3.00-3.34
7 Mg 0.0000 0.3493 0.3493  9 Mg 3.13-3.34
8 Mg 0.5000 0.5000 0.5000  10 Mg 2.91-3.15
9 Ce 0.0000 0.0000 0.0000  20 Mg 3.63-3.95
10 Mg 0.3493 0.0000 0.3493  9 Mg 3.13-3.34
11 Mg 0.7155 0.5000 0.2155  10 Mg 3.00-3.34
12 Mg 0.0000 0.6507 0.6507  9 Mg 3.13-3.34
13 Mg 0.6507 0.0000 0.6507  9 Mg 3.13-3.34



3.
Material: BaGePbO4
Method: DFT, PBE
State: optimized geometry

Crystal system: orthorhombic

a = 6.2930 Å, b = 7.7483 Å, c = 10.3671 Å
α = 90.00°, β = 90.00°, γ = 90.00°
Last column: nearest neighbours and their distance in Å.
Atoms (fractional coordinates):
1 Pb 0.5681 0.4495 0.0923  3 O 2.28-2.35
2 O 0.7980 0.5142 0.8017  1 Ge 1.80
3 Ge 0.4816 0.4599 0.4101  4 O 1.76-1.80
4 Ge 0.0184 0.5401 0.9101  4 O 1.76-1.80
5 Ba 0.9788 0.7489 0.2114  8 O 2.67-2.98
6 Ba 0.0212 0.2489 0.2886  8 O 2.67-2.98
7 O 0.2555 0.5476 0.3348  1 Ge 1.76
8 O 0.4178 0.2388 0.4454  1 Ge 1.80
9 O 0.7020 0.4858 0.3017  1 Ge 1.80
10 Ge 0.9816 0.0401 0.5899  4 O 1.76-1.80
11 O 0.0617 0.9452 0.4399  1 Ge 1.79
12 O 0.9178 0.2612 0.5546  1 Ge 1.80
13 O 0.0822 0.7612 0.9454  1 Ge 1.80
14 O 0.4383 0.0548 0.9399  1 Ge 1.79
15 O 0.5822 0.7388 0.0546  1 Ge 1.80
16 O 0.5617 0.5548 0.5601  1 Ge 1.79
17 Pb 0.0681 0.0505 0.9077  3 O 2.28-2.35
18 O 0.2980 0.9858 0.1983  1 Ge 1.80
19 Pb 0.9319 0.5505 0.5923  3 O 2.28-2.35
20 O 0.7555 0.9524 0.6652  1 Ge 1.76
21 Ge 0.5184 0.9599 0.0899  4 O 1.76-1.80
22 O 0.7445 0.0476 0.1652  1 Ge 1.76
23 Ba 0.5212 0.2511 0.7114  8 O 2.67-2.98
24 O 0.9383 0.4452 0.0601  1 Ge 1.79
25 O 0.2445 0.4524 0.8348  1 Ge 1.76
26 Ba 0.4788 0.7511 0.7886  8 O 2.67-2.98
27 Pb 0.4319 0.9495 0.4077  3 O 2.28-2.35
28 O 0.2020 0.0142 0.6983  1 Ge 1.80



4.
Material: NbSe2
Method: DFT, PBE
State: optimized geometry

Crystal system: hexagonal

a = 3.4804 Å, b = 3.4804 Å, c = 25.8727 Å
α = 90.00°, β = 90.00°, γ = 120.00°
Last column: nearest neighbours and their distance in Å.
Atoms (fractional coordinates):
1 Nb 0.0000 0.0000 0.0000  6 Se 2.62
2 Se 0.6667 0.3333 0.0652  3 Nb 2.62
3 Se 0.6667 0.3333 0.6851  3 Nb 2.62
4 Se 0.3333 0.6667 0.1851  3 Nb 2.62
5 Se 0.3333 0.6667 0.5652  3 Nb 2.62
6 Se 0.6667 0.3333 0.4348  3 Nb 2.62
7 Se 0.3333 0.6667 0.3149  3 Nb 2.62
8 Se 0.3333 0.6667 0.9348  3 Nb 2.62
9 Nb 0.0000 0.0000 0.5000  6 Se 2.62
10 Se 0.6667 0.3333 0.8149  3 Nb 2.62
11 Nb 0.0000 0.0000 0.7500  6 Se 2.62
12 Nb 0.0000 0.0000 0.2500  6 Se 2.62



5.
Material: CuC2S2N4
Method: DFT, PBE
State: optimized geometry

Crystal system: orthorhombic
Offset from the most stable computed form (eV/atom): 0.000

a = 6.7125 Å, b = 8.5955 Å, c = 14.2014 Å
α = 90.00°, β = 90.00°, γ = 90.00°
Last column: nearest neighbours and their distance in Å.
Atoms (fractional coordinates):
1 S 0.7500 0.0735 0.1642  1 C 1.60
2 N 0.2500 0.3025 0.5556  1 Cu 1.91
3 Cu 0.2500 0.1069 0.1785  4 N 1.81-1.91
4 S 0.2500 0.6230 0.0413  1 C 1.60
5 C 0.7500 0.2081 0.9120  1 N 1.19
6 C 0.7500 0.9137 0.2225  1 N 1.18
7 Cu 0.7500 0.6069 0.3215  4 N 1.81-1.91
8 S 0.2500 0.5735 0.3358  1 C 1.60
9 N 0.7500 0.5198 0.1993  1 Cu 1.89
10 S 0.7500 0.1230 0.4587  1 C 1.60
11 N 0.2500 0.5829 0.6240  1 C 1.19
12 S 0.7500 0.3770 0.9587  1 C 1.60
13 N 0.7500 0.6975 0.4444  1 Cu 1.91
14 N 0.7500 0.0829 0.8760  1 C 1.19
15 C 0.2500 0.0863 0.7775  1 N 1.18
16 N 0.2500 0.1975 0.0556  1 Cu 1.91
17 N 0.2500 0.4802 0.8007  1 Cu 1.89
18 S 0.2500 0.9265 0.8358  1 C 1.60
19 S 0.2500 0.8770 0.5413  1 C 1.60
20 C 0.2500 0.7081 0.5880  1 N 1.19
21 N 0.7500 0.9802 0.6993  1 Cu 1.89
22 S 0.7500 0.4265 0.6642  1 C 1.60
23 C 0.7500 0.2919 0.4120  1 N 1.19
24 N 0.2500 0.2976 0.2325  1 C 1.18
25 Cu 0.2500 0.3931 0.6785  4 N 1.81-1.91
26 N 0.7500 0.8025 0.9444  1 Cu 1.91
27 C 0.7500 0.5863 0.7225  1 N 1.18
28 N 0.7500 0.7024 0.7675  1 C 1.18
29 N 0.2500 0.2024 0.7325  1 C 1.18
30 N 0.2500 0.0198 0.3007  1 Cu 1.89
31 C 0.2500 0.7919 0.0880  1 N 1.19
32 Cu 0.7500 0.8931 0.8215  4 N 1.81-1.91
33 N 0.2500 0.9171 0.1240  1 C 1.19
34 N 0.7500 0.7976 0.2675  1 C 1.18
35 C 0.2500 0.4137 0.2775  1 N 1.18
36 N 0.7500 0.4171 0.3760  1 C 1.19



6.
Material: Al5Mo
Method: DFT, PBE
State: optimized geometry

Crystal system: trigonal
Offset from the most stable computed form (eV/atom): 0.004

a = 9.1998 Å, b = 9.1998 Å, c = 9.1998 Å
α = 31.26°, β = 31.26°, γ = 31.26°
Last column: nearest neighbours and their distance in Å.
Atoms (fractional coordinates):
1 Al 0.1692 0.1692 0.1692  9 Al 2.73-2.87, 3 Mo 2.86
2 Al 0.8308 0.8308 0.8308  9 Al 2.73-2.87, 3 Mo 2.86
3 Al 0.4038 0.0962 0.7500  2 Mo 2.72, 10 Al 2.73-2.97
4 Al 0.9038 0.2500 0.5962  2 Mo 2.72, 10 Al 2.73-2.97
5 Mo 0.0000 0.0000 0.0000  12 Al 2.72-2.86
6 Al 0.2500 0.5962 0.9038  2 Mo 2.72, 10 Al 2.73-2.97
7 Al 0.0962 0.7500 0.4038  2 Mo 2.72, 10 Al 2.73-2.97
8 Al 0.3308 0.3308 0.3308  9 Al 2.73-2.87, 3 Mo 2.86
9 Al 0.6692 0.6692 0.6692  9 Al 2.73-2.87, 3 Mo 2.86
10 Mo 0.5000 0.5000 0.5000  12 Al 2.72-2.86
11 Al 0.7500 0.4038 0.0962  2 Mo 2.72, 10 Al 2.73-2.97
12 Al 0.5962 0.9038 0.2500  2 Mo 2.72, 10 Al 2.73-2.97



7.
Material: Pm3Zn
Method: DFT, PBE
State: optimized geometry

Crystal system: hexagonal
Offset from the most stable computed form (eV/atom): 0.000

a = 7.0304 Å, b = 7.0304 Å, c = 5.3385 Å
α = 90.00°, β = 90.00°, γ = 120.00°
Last column: nearest neighbours and their distance in Å.
Atoms (fractional coordinates):
1 Zn 0.6667 0.3333 0.2500  12 Pm 3.28-3.52
2 Pm 0.1765 0.3531 0.2500  4 Zn 3.28-3.52, 6 Pm 3.31-3.43
3 Zn 0.3333 0.6667 0.7500  12 Pm 3.28-3.52
4 Pm 0.6469 0.8235 0.2500  4 Zn 3.28-3.52, 6 Pm 3.31-3.43
5 Pm 0.8235 0.1765 0.7500  4 Zn 3.28-3.52, 6 Pm 3.31-3.43
6 Pm 0.1765 0.8235 0.2500  4 Zn 3.28-3.52, 6 Pm 3.31-3.43
7 Pm 0.8235 0.6469 0.7500  4 Zn 3.28-3.52, 6 Pm 3.31-3.43
8 Pm 0.3531 0.1765 0.7500  4 Zn 3.28-3.52, 6 Pm 3.31-3.43



8.
Material: Ba6MgIr6O18
Method: DFT, PBE
State: optimized geometry

Crystal system: triclinic
Offset from the most stable computed form (eV/atom): 0.000

a = 5.9822 Å, b = 5.6867 Å, c = 15.0762 Å
α = 91.30°, β = 83.46°, γ = 117.81°
Last column: nearest neighbours and their distance in Å.
Atoms (fractional coordinates):
1 O 0.6178 0.3174 0.5665  1 Ir 1.98, 1 Mg 2.15
2 Ir 0.8165 0.4176 0.6700  6 O 1.98-2.11
3 O 0.6739 0.8598 0.0928  2 Ir 2.09-2.12
4 O 0.1555 0.3708 0.0505  2 Ir 2.04
5 O 0.9519 0.4713 0.2267  2 Ir 2.03-2.09
6 O 0.3852 0.9112 0.2486  2 Ir 2.03-2.06
7 O 0.8385 0.6305 0.9489  2 Ir 2.04
8 Ba 0.9078 0.9486 0.2434  9 O 2.72-3.02
9 Ir 0.1838 0.5818 0.3301  6 O 1.98-2.11
10 Ba 0.6361 0.3196 0.0920  5 O 2.61-2.83
11 O 0.9555 0.7218 0.4053  1 Mg 2.05, 2 Ir 2.05-2.10
12 O 0.3823 0.6820 0.4336  1 Ir 1.98, 1 Mg 2.15
13 Ba 0.3656 0.6812 0.9077  5 O 2.61-2.82
14 Ir 0.9999 0.0000 0.5001  4 O 2.05
15 O 0.6159 0.0879 0.7514  2 Ir 2.03-2.06
16 O 0.0492 0.5286 0.7731  2 Ir 2.03-2.09
17 O 0.6215 0.5499 0.7617  2 Ir 2.06-2.07
18 O 0.1753 0.8942 0.0880  2 Ir 2.04-2.06
19 Ir 0.7140 0.3531 0.8533  6 O 2.03-2.12
20 Mg 0.0005 0.5006 0.5001  6 O 2.05-2.15
21 O 0.8247 0.1071 0.9122  2 Ir 2.04-2.06
22 O 0.9560 0.2220 0.4046  2 Ir 2.05-2.11, 1 Mg 2.06
23 O 0.3782 0.4492 0.2382  2 Ir 2.06-2.07
24 O 0.0438 0.7783 0.5958  2 Ir 2.05-2.11, 1 Mg 2.06
25 O 0.3265 0.1400 0.9072  2 Ir 2.09-2.12
26 Ba 0.4840 0.7414 0.6116  7 O 2.75-3.06, 1 Ir 3.03
27 Ir 0.0002 0.0004 0.0000  6 O 2.04-2.09
28 Ir 0.2867 0.6469 0.1465  6 O 2.03-2.12
29 Ba 0.5160 0.2581 0.3886  7 O 2.75-3.06, 1 Ir 3.04
30 Ba 0.0922 0.0505 0.7569  9 O 2.71-3.03
31 O 0.0448 0.2782 0.5949  1 Mg 2.05, 2 Ir 2.05-2.10



| no. | volume (Å³ per atom) | calculated total energy (eV/atom) | mass density (kg/m3) |
| --- | --- | --- | --- |
| 1 | 20.7 | -6.0016 | 3213 |
| 2 | 24.2 | -1.9344 | 2280 |
| 3 | 18.1 | -6.2496 | 6322 |
| 4 | 22.6 | -6.5224 | 6138 |
| 5 | 22.8 | -5.8202 | 1684 |
| 6 | 15.5 | -5.1672 | 4120 |
| 7 | 28.6 | -3.9215 | 7273 |
| 8 | 14.5 | -6.5821 | 8441 |